1) Compound: Li3V3P8O29
Source: the Materials Project
Functional: PBE+U
Structure: optimized geometry

Unit cell a=9.7452 b=9.7686 c=14.4406 alpha=90.16 beta=90.51 gamma=119.79
Closest atoms and distances in Å follow each position.
Atoms (fractional coordinates):
Li  0.0000  0.0000  0.0000  2 O 1.91-1.94
Li  0.0587  0.1663  0.5947  2 O 1.84-1.89
Li  0.4633  0.0086  0.4828  3 O 1.95-2.05
Li  0.5498  0.7817  0.5987  2 O 1.91
Li  0.7195  0.0671  0.0593  2 O 1.91-2.07
Li  0.8599  0.4105  0.9971  2 O 1.94-1.95
V  0.2070  0.5232  0.2943  6 O 1.85-1.93
V  0.2104  0.0897  0.8010  6 O 1.84-1.99
V  0.3348  0.6564  0.8063  6 O 1.86-1.98
V  0.3414  0.0963  0.2920  6 O 1.83-1.96
V  0.7717  0.6540  0.3015  6 O 1.86-1.92
V  0.7739  0.5259  0.7923  6 O 1.84-1.96
P  0.0032  0.4059  0.7064  4 O 1.47-1.62
P  0.0793  0.3137  0.8881  4 O 1.48-1.61
P  0.0909  0.1825  0.3846  4 O 1.48-1.62
P  0.1019  0.7569  0.9152  4 O 1.48-1.59
P  0.1141  0.7617  0.4139  4 O 1.48-1.58
P  0.4335  0.4236  0.6842  4 O 1.48-1.59
P  0.4412  0.4267  0.1804  4 O 1.48-1.60
P  0.4517  0.9970  0.7052  4 O 1.48-1.61
P  0.4663  0.8665  0.2087  4 O 1.48-1.63
P  0.5444  0.7721  0.3879  4 O 1.50-1.60
P  0.5570  0.1771  0.8843  4 O 1.48-1.62
P  0.6898  0.3143  0.3879  4 O 1.47-1.64
P  0.6917  0.7820  0.8875  4 O 1.48-1.62
P  0.8564  0.4002  0.2069  4 O 1.50-1.60
P  0.8590  0.8648  0.7070  4 O 1.48-1.61
P  0.9921  0.9984  0.2093  4 O 1.49-1.61
O  0.0108  0.3279  0.6211  1 P 1.47
O  0.0188  0.1025  0.4725  1 P 1.48
O  0.0292  0.0098  0.7117  1 P 1.56
O  0.0301  0.4352  0.2160  1 P 1.56
O  0.0973  0.9054  0.8740  1 P 1.59
O  0.0977  0.7582  0.0177  1 P 1.48
O  0.1137  0.1739  0.8866  1 P 1.56
O  0.1171  0.3519  0.3768  1 P 1.55
O  0.1177  0.7565  0.5164  1 P 1.48
O  0.1229  0.6214  0.3646  1 P 1.58
O  0.1526  0.0010  0.2216  1 P 1.56
O  0.1543  0.5663  0.7298  1 P 1.56
O  0.2391  0.4723  0.8768  1 P 1.57
O  0.2502  0.1886  0.3649  1 P 1.55
O  0.2553  0.7630  0.8738  1 P 1.59
O  0.2592  0.9157  0.3757  1 P 1.57
O  0.2902  0.2722  0.7292  1 P 1.59
O  0.2905  0.4210  0.2225  1 P 1.57
O  0.2915  0.9898  0.7305  1 P 1.57
O  0.3132  0.7057  0.2162  1 P 1.54
O  0.3933  0.1725  0.8740  1 P 1.58
O  0.3939  0.6128  0.3687  1 P 1.54
O  0.4234  0.0002  0.2176  1 P 1.56
O  0.4272  0.4186  0.5819  1 P 1.48
O  0.4321  0.8301  0.7160  1 P 1.55
O  0.4335  0.5705  0.7270  1 P 1.56
O  0.4422  0.2759  0.2228  1 P 1.60
O  0.4437  0.4241  0.0780  1 P 1.48
O  0.5100  0.0659  0.6133  1 P 1.48
O  0.5154  0.1731  0.3817  1 P 1.57
O  0.5167  0.7448  0.8805  1 P 1.56
O  0.5341  0.8479  0.4763  1 P 1.50
O  0.5653  0.8879  0.3040  2 P 1.60-1.63
O  0.5674  0.8905  0.1277  1 P 1.48
O  0.5715  0.1017  0.7872  2 P 1.61-1.62
O  0.5734  0.0944  0.9653  1 P 1.48
O  0.5861  0.5715  0.2281  1 P 1.57
O  0.5869  0.4283  0.7266  1 P 1.59
O  0.6845  0.4699  0.3710  1 P 1.57
O  0.6896  0.7482  0.3842  1 P 1.55
O  0.6924  0.3522  0.8808  1 P 1.56
O  0.6943  0.6260  0.8730  1 P 1.55
O  0.7659  0.2901  0.2930  2 P 1.60-1.64
O  0.7699  0.8583  0.6221  1 P 1.48
O  0.7722  0.3103  0.4725  1 P 1.47
O  0.7729  0.8855  0.7962  2 P 1.61-1.62
O  0.7763  0.8784  0.9703  1 P 1.48
O  0.7854  0.3164  0.1172  1 P 1.50
O  0.8544  0.5562  0.2207  1 P 1.55
O  0.8552  0.8276  0.2200  1 P 1.54
O  0.8594  0.4337  0.7152  1 P 1.56
O  0.8677  0.7110  0.7245  1 P 1.57
O  0.9594  0.6045  0.8719  1 P 1.57
O  0.9594  0.7502  0.3707  1 P 1.58
O  0.9768  0.0913  0.2970  2 P 1.61-1.62
O  0.9813  0.0701  0.1204  1 P 1.49
O  0.9818  0.2930  0.7938  2 P 1.61-1.62
O  0.9843  0.3092  0.9689  1 P 1.48

Calculated volume   13.9 A^3/atom
Magnetic moment   0.0 μB per formula unit

=====

2) Compound: Li3V3P8O29
Source: the Materials Project
Functional: PBE+U
Structure: optimized geometry

Unit cell a=9.7288 b=9.7288 c=14.2401 alpha=90.60 beta=90.60 gamma=60.47
Closest atoms and distances in Å follow each position.
Atoms (fractional coordinates):
Li  0.0000  0.0000  0.0000  6 O 2.19-2.43
Li  0.0000  0.0000  0.5000  6 O 2.19-2.43
Li  0.0945  0.6684  0.9421  3 O 1.96-2.15
Li  0.3316  0.9055  0.5579  3 O 1.96-2.15
Li  0.6684  0.0945  0.4421  3 O 1.96-2.15
Li  0.9055  0.3316  0.0579  3 O 1.96-2.15
V  0.0025  0.4366  0.2600  6 O 1.83-1.97
V  0.4366  0.0025  0.7600  6 O 1.83-1.97
V  0.4370  0.5630  0.2500  6 O 1.86-1.92
V  0.5630  0.4370  0.7500  6 O 1.86-1.92
V  0.5634  0.9975  0.2400  6 O 1.83-1.97
V  0.9975  0.5634  0.7400  6 O 1.83-1.97
P  0.0870  0.6857  0.1590  4 O 1.49-1.61
P  0.0881  0.2124  0.6600  4 O 1.48-1.63
P  0.2124  0.0881  0.1600  4 O 1.48-1.63
P  0.2236  0.6939  0.6571  4 O 1.49-1.61
P  0.3061  0.7764  0.8429  4 O 1.49-1.61
P  0.3143  0.9130  0.3410  4 O 1.49-1.61
P  0.3281  0.3424  0.8671  4 O 1.48-1.59
P  0.3424  0.3281  0.3671  4 O 1.48-1.59
P  0.6576  0.6719  0.6329  4 O 1.48-1.59
P  0.6719  0.6576  0.1329  4 O 1.48-1.59
P  0.6857  0.0870  0.6590  4 O 1.49-1.61
P  0.6939  0.2236  0.1571  4 O 1.49-1.61
P  0.7764  0.3061  0.3429  4 O 1.49-1.61
P  0.7876  0.9119  0.8400  4 O 1.48-1.63
P  0.9119  0.7876  0.3400  4 O 1.48-1.63
P  0.9130  0.3143  0.8410  4 O 1.49-1.61
O  0.0084  0.1927  0.5762  1 P 1.48
O  0.0105  0.1956  0.7567  2 P 1.61-1.63
O  0.0206  0.7614  0.0666  1 P 1.49
O  0.0801  0.3778  0.6700  1 P 1.58
O  0.0813  0.2638  0.1667  1 P 1.55
O  0.0827  0.5313  0.1775  1 P 1.55
O  0.0893  0.6508  0.6644  1 P 1.56
O  0.1799  0.4883  0.8240  1 P 1.57
O  0.1891  0.3310  0.3243  1 P 1.59
O  0.1927  0.0084  0.0762  1 P 1.48
O  0.1956  0.0105  0.2567  2 P 1.61-1.63
O  0.2009  0.7991  0.7500  2 P 1.61
O  0.2050  0.7922  0.9250  1 P 1.49
O  0.2078  0.7950  0.5750  1 P 1.49
O  0.2386  0.9794  0.4334  1 P 1.49
O  0.2601  0.6503  0.1716  1 P 1.55
O  0.2638  0.0813  0.6667  1 P 1.55
O  0.3276  0.3452  0.9711  1 P 1.48
O  0.3310  0.1891  0.8243  1 P 1.59
O  0.3404  0.4734  0.3198  1 P 1.56
O  0.3452  0.3276  0.4711  1 P 1.48
O  0.3492  0.9107  0.8356  1 P 1.56
O  0.3497  0.7399  0.3284  1 P 1.55
O  0.3778  0.0801  0.1700  1 P 1.58
O  0.3831  0.5402  0.6685  1 P 1.54
O  0.4598  0.6169  0.8315  1 P 1.54
O  0.4687  0.9173  0.3225  1 P 1.55
O  0.4734  0.3404  0.8198  1 P 1.56
O  0.4883  0.1799  0.3240  1 P 1.57
O  0.5117  0.8201  0.6760  1 P 1.57
O  0.5266  0.6596  0.1802  1 P 1.56
O  0.5313  0.0827  0.6775  1 P 1.55
O  0.5402  0.3831  0.1685  1 P 1.54
O  0.6169  0.4598  0.3315  1 P 1.54
O  0.6222  0.9199  0.8300  1 P 1.58
O  0.6503  0.2601  0.6716  1 P 1.55
O  0.6508  0.0893  0.1644  1 P 1.56
O  0.6548  0.6724  0.5289  1 P 1.48
O  0.6596  0.5266  0.6802  1 P 1.56
O  0.6690  0.8109  0.1757  1 P 1.59
O  0.6724  0.6548  0.0289  1 P 1.48
O  0.7362  0.9187  0.3333  1 P 1.55
O  0.7399  0.3497  0.8284  1 P 1.55
O  0.7614  0.0206  0.5666  1 P 1.49
O  0.7922  0.2050  0.4250  1 P 1.49
O  0.7950  0.2078  0.0750  1 P 1.49
O  0.7991  0.2009  0.2500  2 P 1.61
O  0.8044  0.9895  0.7433  2 P 1.61-1.63
O  0.8073  0.9916  0.9238  1 P 1.48
O  0.8109  0.6690  0.6757  1 P 1.59
O  0.8201  0.5117  0.1760  1 P 1.57
O  0.9107  0.3492  0.3356  1 P 1.56
O  0.9173  0.4687  0.8225  1 P 1.55
O  0.9187  0.7362  0.8333  1 P 1.55
O  0.9199  0.6222  0.3300  1 P 1.58
O  0.9794  0.2386  0.9334  1 P 1.49
O  0.9895  0.8044  0.2433  2 P 1.61-1.63
O  0.9916  0.8073  0.4238  1 P 1.48

Calculated volume   13.6 A^3/atom
Magnetic moment   0.0 μB per formula unit

=====

3) Compound: Li3V3P8O29
Source: the Materials Project
Functional: PBE+U
Structure: optimized geometry

Unit cell a=9.7684 b=9.7684 c=14.5555 alpha=90.48 beta=90.48 gamma=60.12
Closest atoms and distances in Å follow each position.
Atoms (fractional coordinates):
Li  0.0612  0.9388  0.5000  2 O 1.90-1.92
Li  0.3137  0.9028  0.9563  2 O 1.93-1.94
Li  0.7646  0.8992  0.4515  3 O 1.92-2.11
Li  0.8992  0.7646  0.9515  3 O 1.92-2.11
Li  0.9028  0.3137  0.4563  2 O 1.93-1.94
Li  0.9388  0.0612  0.0000  2 O 1.90-1.92
V  0.4290  0.9899  0.7579  6 O 1.84-1.95
V  0.4311  0.5541  0.2633  6 O 1.86-1.91
V  0.5520  0.9927  0.2638  6 O 1.83-1.98
V  0.5541  0.4311  0.7633  6 O 1.86-1.91
V  0.9899  0.4290  0.2579  6 O 1.84-1.95
V  0.9927  0.5520  0.7638  6 O 1.83-1.98
P  0.0782  0.2081  0.8484  4 O 1.47-1.63
P  0.0793  0.6872  0.3437  4 O 1.49-1.63
P  0.2081  0.0782  0.3484  4 O 1.47-1.63
P  0.2127  0.6877  0.8506  4 O 1.49-1.61
P  0.2955  0.7680  0.6702  4 O 1.47-1.61
P  0.3046  0.9011  0.1708  4 O 1.48-1.61
P  0.3253  0.3247  0.1494  4 O 1.47-1.59
P  0.3247  0.3253  0.6494  4 O 1.47-1.59
P  0.6560  0.6633  0.8782  4 O 1.48-1.58
P  0.6633  0.6560  0.3782  4 O 1.48-1.58
P  0.6872  0.0793  0.8437  4 O 1.49-1.63
P  0.6877  0.2127  0.3506  4 O 1.49-1.61
P  0.7680  0.2955  0.1702  4 O 1.47-1.61
P  0.7686  0.8997  0.6682  4 O 1.48-1.60
P  0.8997  0.7686  0.1682  4 O 1.48-1.60
P  0.9011  0.3046  0.6708  4 O 1.48-1.61
O  0.0035  0.1875  0.7525  2 P 1.61-1.63
O  0.0087  0.7803  0.2474  2 P 1.60-1.63
O  0.0681  0.3721  0.8398  1 P 1.56
O  0.0686  0.5347  0.3357  1 P 1.55
O  0.0751  0.2551  0.3457  1 P 1.56
O  0.0769  0.6475  0.8518  1 P 1.56
O  0.1745  0.3290  0.1923  1 P 1.59
O  0.1755  0.4682  0.6973  1 P 1.59
O  0.1860  0.7850  0.7569  2 P 1.61
O  0.1875  0.0035  0.2525  2 P 1.61-1.63
O  0.1879  0.9976  0.4278  1 P 1.47
O  0.2041  0.7879  0.9301  1 P 1.49
O  0.2055  0.7883  0.5850  1 P 1.47
O  0.2347  0.9689  0.0803  1 P 1.48
O  0.2551  0.0751  0.8457  1 P 1.56
O  0.2547  0.6448  0.3429  1 P 1.55
O  0.3175  0.3285  0.5484  1 P 1.47
O  0.3285  0.3175  0.0484  1 P 1.47
O  0.3279  0.4693  0.1940  1 P 1.56
O  0.3290  0.1745  0.6923  1 P 1.59
O  0.3364  0.9030  0.6846  1 P 1.57
O  0.3378  0.7303  0.1840  1 P 1.55
O  0.3721  0.0681  0.3398  1 P 1.56
O  0.3729  0.5321  0.8384  1 P 1.56
O  0.4507  0.6084  0.6838  1 P 1.55
O  0.4627  0.9014  0.1908  1 P 1.57
O  0.4682  0.1755  0.1973  1 P 1.59
O  0.4693  0.3279  0.6940  1 P 1.56
O  0.5063  0.8106  0.8360  1 P 1.58
O  0.5184  0.6548  0.3308  1 P 1.58
O  0.5321  0.3729  0.3384  1 P 1.56
O  0.5347  0.0686  0.8357  1 P 1.55
O  0.6084  0.4507  0.1838  1 P 1.55
O  0.6108  0.9001  0.6857  1 P 1.56
O  0.6448  0.2547  0.8429  1 P 1.55
O  0.6475  0.0769  0.3518  1 P 1.56
O  0.6488  0.6683  0.9800  1 P 1.48
O  0.6548  0.5184  0.8308  1 P 1.58
O  0.6635  0.8072  0.3412  1 P 1.58
O  0.6683  0.6488  0.4800  1 P 1.48
O  0.7303  0.3378  0.6840  1 P 1.55
O  0.7307  0.9074  0.1884  1 P 1.56
O  0.7786  0.9576  0.5762  1 P 1.48
O  0.7803  0.0087  0.7474  2 P 1.60-1.63
O  0.7850  0.1860  0.2569  2 P 1.61
O  0.7879  0.2041  0.4301  1 P 1.49
O  0.7883  0.2055  0.0850  1 P 1.47
O  0.7945  0.9905  0.9216  1 P 1.49
O  0.8072  0.6635  0.8412  1 P 1.58
O  0.8106  0.5063  0.3360  1 P 1.58
O  0.9001  0.6108  0.1857  1 P 1.56
O  0.9014  0.4627  0.6908  1 P 1.57
O  0.9030  0.3364  0.1846  1 P 1.57
O  0.9074  0.7307  0.6884  1 P 1.56
O  0.9576  0.7786  0.0762  1 P 1.48
O  0.9689  0.2347  0.5803  1 P 1.48
O  0.9905  0.7945  0.4216  1 P 1.49
O  0.9976  0.1879  0.9278  1 P 1.47

Calculated volume   14.0 A^3/atom
Magnetic moment   0.0 μB per formula unit

=====

Going by the computed energies, the most stable comes first: 3), 2), 1).